First-principles (PBE+U) data for a relaxed Mn6O5F7 crystal, as listed in the Materials Project database.

abc: 4.738 5.756 15.578
angles: 90.45 89.35 93.25
Element x y z (fractional)
1 F 0.230 0.885 0.141
2 F 0.251 0.615 0.640
3 F 0.234 0.615 0.309
4 F 0.738 0.621 0.534
5 F 0.775 0.130 0.516
6 F 0.261 0.869 0.800
7 F 0.762 0.607 0.866
8 F 0.708 0.396 0.357
9 F 0.742 0.888 0.363
10 F 0.778 0.880 0.034
11 F 0.766 0.873 0.691
12 F 0.775 0.120 0.185
13 F 0.739 0.369 0.019
14 F 0.770 0.113 0.861
15 Mn 0.029 0.165 0.080
16 Mn 0.021 0.863 0.581
17 Mn 0.978 0.846 0.249
18 Mn 0.995 0.189 0.746
19 Mn 0.043 0.155 0.414
20 Mn 0.478 0.351 0.247
21 Mn 0.057 0.836 0.921
22 Mn 0.477 0.355 0.919
23 Mn 0.463 0.656 0.424
24 Mn 0.502 0.638 0.088
25 Mn 0.488 0.337 0.584
26 Mn 0.504 0.624 0.749
27 O 0.238 0.121 0.974
28 O 0.279 0.387 0.477
29 O 0.707 0.614 0.195
30 O 0.304 0.609 0.978
31 O 0.224 0.886 0.474
32 O 0.697 0.384 0.691
33 O 0.215 0.115 0.303
34 O 0.214 0.121 0.637
35 O 0.283 0.387 0.814
36 O 0.276 0.382 0.139

Output
Theoretical density ... 4.2 g cm⁻³
Energy of formation ... -2.414 eV per atom
Total magnetization ... 50.00 μB per cell
Corrected total energy (MP2020 scheme) ... -136.564 eV per formula unit


First-principles (PBE+U) data for a relaxed Li9Mn2Co5O16 crystal, as listed in the Materials Project database.

abc: 5.792 6.598 7.736
angles: 89.50 101.35 102.59
Element x y z (fractional)
1 Mn 0.006 0.996 0.004
2 Mn 0.747 0.752 0.248
3 O 0.932 0.711 0.068
4 O 0.949 0.196 0.577
5 O 0.191 0.943 0.834
6 O 0.574 0.804 0.427
7 O 0.306 0.059 0.166
8 O 0.549 0.285 0.929
9 O 0.806 0.547 0.674
10 O 0.446 0.193 0.571
11 O 0.693 0.464 0.306
12 O 0.050 0.290 0.936
13 O 0.043 0.804 0.428
14 O 0.696 0.948 0.831
15 O 0.191 0.436 0.331
16 O 0.312 0.553 0.686
17 O 0.806 0.044 0.174
18 O 0.457 0.709 0.070
19 Li 0.372 0.376 0.127
20 Li 0.253 0.755 0.250
21 Li 0.133 0.628 0.881
22 Li 0.613 0.115 0.377
23 Li 0.372 0.871 0.615
24 Li 0.133 0.120 0.381
25 Li 0.880 0.382 0.127
26 Li 0.873 0.873 0.620
27 Li 0.622 0.632 0.874
28 Co 0.744 0.247 0.746
29 Co 0.007 0.510 0.496
30 Co 0.498 0.996 0.002
31 Co 0.495 0.509 0.494
32 Co 0.250 0.252 0.750

Output
Theoretical density ... 4.2 g cm⁻³
Energy of formation ... -1.833 eV per atom
Total magnetization ... 7.49 μB per cell
Corrected total energy (MP2020 scheme) ... -208.861 eV per formula unit


First-principles (PBE+U) data for a relaxed Li2CoPCO7 crystal, as listed in the Materials Project database.

abc: 6.247 5.084 8.532
angles: 86.38 90.00 90.00
Element x y z (fractional)
1 C 0.750 0.730 0.057
2 C 0.250 0.270 0.943
3 Li 0.014 0.777 0.781
4 Li 0.986 0.223 0.219
5 Li 0.486 0.777 0.781
6 Li 0.514 0.223 0.219
7 O 0.250 0.827 0.591
8 O 0.250 0.038 0.883
9 O 0.750 0.590 0.556
10 O 0.250 0.410 0.444
11 O 0.750 0.962 0.117
12 O 0.054 0.819 0.329
13 O 0.446 0.819 0.329
14 O 0.250 0.471 0.838
15 O 0.250 0.298 0.089
16 O 0.750 0.529 0.162
17 O 0.554 0.181 0.671
18 O 0.750 0.702 0.911
19 O 0.946 0.181 0.671
20 O 0.750 0.173 0.409
21 P 0.750 0.283 0.574
22 P 0.250 0.717 0.426
23 Co 0.250 0.214 0.655
24 Co 0.750 0.786 0.345

Output
Theoretical density ... 2.8 g cm⁻³
Energy of formation ... -2.148 eV per atom
Total magnetization ... 0.00 μB per cell
Corrected total energy (MP2020 scheme) ... -85.975 eV per formula unit


First-principles (PBE+U) data for a relaxed CaMo2O6 crystal, as listed in the Materials Project database.

abc: 5.450 5.520 7.787
angles: 89.99 90.00 89.95
Element x y z (fractional)
1 O 0.953 0.508 0.750
2 O 0.214 0.213 0.532
3 O 0.214 0.213 0.969
4 O 0.063 0.490 0.250
5 O 0.779 0.778 0.024
6 O 0.563 0.009 0.750
7 O 0.453 0.993 0.250
8 O 0.714 0.287 0.468
9 O 0.713 0.287 0.031
10 O 0.279 0.722 0.976
11 O 0.779 0.778 0.476
12 O 0.279 0.722 0.524
13 Mo 0.501 0.004 0.500
14 Mo 0.000 0.496 0.000
15 Mo 0.001 0.496 0.500
16 Mo 0.501 0.004 0.000
17 Ca 0.008 0.956 0.750
18 Ca 0.507 0.543 0.250

Output
Theoretical density ... 4.6 g cm⁻³
Energy of formation ... -2.269 eV per atom
Total magnetization ... 4.00 μB per cell
Corrected total energy (MP2020 scheme) ... -73.803 eV per formula unit


First-principles (PBE+U) data for a relaxed LiV3O4 crystal, as listed in the Materials Project database.

abc: 5.275 5.968 6.152
angles: 119.00 73.54 90.01
Element x y z (fractional)
1 V 0.500 0.750 0.000
2 V 0.000 0.999 0.997
3 V 0.000 0.501 0.003
4 V 0.500 0.250 0.500
5 V 0.500 0.750 0.500
6 V 0.500 0.250 0.000
7 O 0.246 0.130 0.758
8 O 0.754 0.872 0.242
9 O 0.740 0.382 0.764
10 O 0.736 0.881 0.763
11 O 0.260 0.118 0.236
12 O 0.754 0.370 0.242
13 O 0.246 0.628 0.758
14 O 0.264 0.619 0.237
15 Li 0.000 0.499 0.500
16 Li 0.000 0.001 0.500

Output
Theoretical density ... 4.6 g cm⁻³
Energy of formation ... -2.285 eV per atom
Total magnetization ... 0.55 μB per cell
Corrected total energy (MP2020 scheme) ... -67.229 eV per formula unit


First-principles (PBE+U) data for a relaxed Li3Fe2P2C2O14 crystal, as listed in the Materials Project database.

abc: 8.374 5.123 6.482
angles: 89.95 90.61 85.29
Element x y z (fractional)
1 O 0.694 0.171 0.935
2 O 0.320 0.793 0.438
3 O 0.898 0.633 0.780
4 O 0.307 0.794 0.063
5 O 0.072 0.953 0.751
6 O 0.580 0.862 0.232
7 O 0.425 0.133 0.747
8 O 0.475 0.424 0.245
9 O 0.094 0.380 0.246
10 O 0.538 0.574 0.779
11 O 0.925 0.052 0.253
12 O 0.689 0.214 0.564
13 O 0.161 0.537 0.743
14 O 0.829 0.466 0.232
15 C 0.038 0.709 0.758
16 C 0.956 0.297 0.243
17 P 0.580 0.273 0.754
18 P 0.422 0.722 0.246
19 Fe 0.330 0.803 0.750
20 Fe 0.667 0.199 0.260
21 Li 0.718 0.753 0.961
22 Li 0.903 0.241 0.740
23 Li 0.109 0.772 0.257

Output
Theoretical density ... 2.7 g cm⁻³
Energy of formation ... -2.178 eV per atom
Total magnetization ... 9.00 μB per cell
Corrected total energy (MP2020 scheme) ... -171.312 eV per formula unit


First-principles (PBE+U) data for a relaxed Li4NbFe3O8 crystal, as listed in the Materials Project database.

abc: 6.060 6.060 6.083
angles: 60.35 60.35 60.37
Element x y z (fractional)
1 Fe 0.000 0.500 0.000
2 Fe 0.500 0.000 0.000
3 Fe 0.500 0.500 0.500
4 O 0.765 0.765 0.727
5 O 0.734 0.734 0.248
6 O 0.266 0.266 0.752
7 O 0.249 0.761 0.727
8 O 0.761 0.249 0.727
9 O 0.239 0.751 0.273
10 O 0.751 0.239 0.273
11 O 0.235 0.235 0.273
12 Li 0.500 0.000 0.500
13 Li 0.000 0.500 0.500
14 Li 0.000 0.000 0.000
15 Li 0.500 0.500 0.000
16 Nb 0.000 0.000 0.500

Output
Theoretical density ... 4.3 g cm⁻³
Energy of formation ... -2.169 eV per atom
Total magnetization ... 13.00 μB per cell
Corrected total energy (MP2020 scheme) ... -117.434 eV per formula unit


First-principles (PBE+U) data for a relaxed Li3V3P8O29 crystal, as listed in the Materials Project database.

abc: 9.749 9.760 14.112
angles: 89.93 89.88 60.04
Element x y z (fractional)
1 O 0.813 0.669 0.825
2 O 0.209 0.992 0.255
3 O 0.335 0.182 0.672
4 O 0.340 0.917 0.660
5 O 0.914 0.345 0.164
6 O 0.617 0.467 0.172
7 O 0.084 0.382 0.829
8 O 0.664 0.668 0.975
9 O 0.084 0.257 0.331
10 O 0.527 0.091 0.826
11 O 0.667 0.518 0.825
12 O 0.818 0.522 0.322
13 O 0.211 0.798 0.756
14 O 0.222 0.762 0.935
15 O 0.095 0.522 0.321
16 O 0.661 0.817 0.322
17 O 0.008 0.784 0.078
18 O 0.666 0.668 0.474
19 O 0.523 0.660 0.324
20 O 0.750 0.238 0.435
21 O 0.798 0.210 0.257
22 O 0.229 0.763 0.576
23 O 0.188 0.331 0.174
24 O 0.618 0.906 0.679
25 O 0.256 0.658 0.331
26 O 0.381 0.097 0.320
27 O 0.335 0.339 0.023
28 O 0.762 0.017 0.935
29 O 0.489 0.185 0.168
30 O 0.239 0.010 0.433
31 O 0.476 0.619 0.678
32 O 0.517 0.815 0.825
33 O 0.785 0.210 0.078
34 O 0.915 0.618 0.170
35 O 0.344 0.739 0.163
36 O 0.085 0.656 0.831
37 O 0.742 0.917 0.160
38 O 0.007 0.232 0.572
39 O 0.183 0.481 0.674
40 O 0.383 0.526 0.825
41 O 0.989 0.799 0.257
42 O 0.657 0.085 0.331
43 O 0.917 0.742 0.661
44 O 0.996 0.208 0.751
45 O 0.328 0.488 0.170
46 O 0.212 0.995 0.073
47 O 0.006 0.209 0.930
48 O 0.484 0.334 0.672
49 O 0.521 0.381 0.322
50 O 0.466 0.916 0.172
51 O 0.763 0.007 0.576
52 O 0.798 0.990 0.756
53 O 0.334 0.334 0.525
54 O 0.657 0.258 0.830
55 O 0.906 0.475 0.678
56 O 0.010 0.751 0.435
57 O 0.744 0.340 0.660
58 O 0.257 0.087 0.831
59 P 0.308 0.914 0.158
60 P 0.671 0.663 0.370
61 P 0.772 0.913 0.660
62 P 0.687 0.087 0.843
63 P 0.915 0.314 0.658
64 P 0.334 0.333 0.631
65 P 0.336 0.334 0.128
66 P 0.775 0.310 0.160
67 P 0.683 0.228 0.343
68 P 0.085 0.683 0.343
69 P 0.314 0.772 0.659
70 P 0.227 0.088 0.341
71 P 0.666 0.667 0.871
72 P 0.083 0.223 0.844
73 P 0.226 0.686 0.843
74 P 0.915 0.776 0.159
75 Li 0.088 0.686 0.557
76 Li 0.685 0.225 0.557
77 Li 0.013 0.030 0.004
78 Li 0.226 0.089 0.556
79 Li 0.235 0.669 0.060
80 Li 0.669 0.097 0.060
81 V 0.567 0.436 0.752
82 V 0.434 0.567 0.254
83 V 0.435 0.998 0.754
84 V 0.565 0.998 0.251
85 V 0.004 0.430 0.246
86 V 0.997 0.564 0.754

Output
Theoretical density ... 2.5 g cm⁻³
Energy of formation ... -2.525 eV per atom
Total magnetization ... 0.00 μB per cell
Corrected total energy (MP2020 scheme) ... -328.349 eV per formula unit


First-principles (PBE+U) data for a relaxed Eu2CoRuO6 crystal, as listed in the Materials Project database.

abc: 5.465 5.786 7.776
angles: 90.00 89.46 90.00
Element x y z (fractional)
1 Eu 0.983 0.567 0.749
2 Eu 0.517 0.067 0.751
3 Eu 0.483 0.933 0.249
4 Eu 0.017 0.433 0.251
5 O 0.185 0.709 0.053
6 O 0.799 0.311 0.546
7 O 0.903 0.030 0.246
8 O 0.315 0.209 0.447
9 O 0.201 0.689 0.454
10 O 0.597 0.530 0.254
11 O 0.701 0.811 0.954
12 O 0.403 0.470 0.746
13 O 0.097 0.970 0.754
14 O 0.815 0.291 0.947
15 O 0.685 0.791 0.553
16 O 0.299 0.189 0.046
17 Ru 0.000 0.000 0.000
18 Ru 0.500 0.500 0.500
19 Co 0.000 0.000 0.500
20 Co 0.500 0.500 0.000

Output
Theoretical density ... 7.6 g cm⁻³
Energy of formation ... -2.348 eV per atom
Total magnetization ... 26.00 μB per cell
Corrected total energy (MP2020 scheme) ... -90.064 eV per formula unit


First-principles (PBE+U) data for a relaxed Li8Mn5Fe3B8O24 crystal, as listed in the Materials Project database.

abc: 5.237 5.249 20.892
angles: 91.57 89.54 119.92
Element x y z (fractional)
1 Li 0.009 0.346 0.708
2 Li 0.973 0.651 0.584
3 Li 0.026 0.677 0.834
4 Li 0.022 0.676 0.334
5 Li 0.988 0.337 0.458
6 Li 0.016 0.349 0.208
7 Li 0.989 0.338 0.959
8 Li 0.975 0.653 0.084
9 O 0.615 0.039 0.421
10 O 0.089 0.732 0.430
11 O 0.389 0.966 0.085
12 O 0.685 0.929 0.710
13 O 0.385 0.422 0.673
14 O 0.388 0.967 0.584
15 O 0.922 0.654 0.182
16 O 0.318 0.249 0.959
17 O 0.607 0.584 0.832
18 O 0.676 0.746 0.048
19 O 0.328 0.070 0.799
20 O 0.085 0.359 0.306
21 O 0.901 0.273 0.555
22 O 0.603 0.583 0.331
23 O 0.682 0.934 0.208
24 O 0.319 0.249 0.458
25 O 0.395 0.419 0.175
26 O 0.089 0.361 0.806
27 O 0.901 0.272 0.056
28 O 0.615 0.039 0.922
29 O 0.322 0.066 0.299
30 O 0.090 0.732 0.930
31 O 0.676 0.747 0.547
32 O 0.912 0.641 0.681
33 Mn 0.667 0.673 0.941
34 Mn 0.321 0.324 0.566
35 Mn 0.667 0.674 0.440
36 Mn 0.335 0.003 0.693
37 Mn 0.322 0.321 0.067
38 Fe 0.687 0.005 0.816
39 Fe 0.332 0.996 0.193
40 Fe 0.683 0.007 0.315
41 B 0.339 0.006 0.937
42 B 0.342 0.339 0.813
43 B 0.339 0.006 0.437
44 B 0.338 0.337 0.312
45 B 0.655 0.998 0.563
46 B 0.662 0.665 0.689
47 B 0.666 0.669 0.189
48 B 0.656 0.997 0.064

Output
Theoretical density ... 3.2 g cm⁻³
Energy of formation ... -2.442 eV per atom
Total magnetization ... 37.00 μB per cell
Corrected total energy (MP2020 scheme) ... -375.871 eV per formula unit